# 1
Here is a geometry-optimized Co2O3 structure from Materials Project. Energies are from PBE+U.

Its crystal system is orthorhombic.

Cell: 5.151 5.151 15.216 Å, 90.00 90.00 145.92°
Atoms (fractional coordinates):
Co  0.362  0.638  0.952
Co  0.638  0.362  0.048
Co  0.908  0.092  0.360
O  0.840  0.160  0.250
Co  0.638  0.362  0.452
Co  0.092  0.908  0.860
O  0.280  0.720  0.427
Co  0.092  0.908  0.640
O  0.536  0.464  0.353
O  0.000  0.000  0.500
O  0.464  0.536  0.853
O  0.000  0.000  0.000
O  0.280  0.720  0.073
O  0.464  0.536  0.647
O  0.536  0.464  0.147
O  0.720  0.280  0.927
Co  0.908  0.092  0.140
O  0.720  0.280  0.573
O  0.160  0.840  0.750
Co  0.362  0.638  0.548

# 2
Here is a geometry-optimized BaSr7Co5Cu3O20 structure from Materials Project. Energies are from PBE+U.

Its crystal system is triclinic.

Cell: 11.019 11.079 17.981 Å, 108.25 107.99 89.23°
Atoms (fractional coordinates):
O  0.824  0.304  0.637
O  0.688  0.198  0.863
O  0.882  0.613  0.495
Cu  0.114  0.098  0.749
O  0.128  0.128  0.496
O  0.383  0.884  0.999
O  0.387  0.385  0.999
O  0.686  0.695  0.861
O  0.588  0.598  0.149
Cu  0.618  0.104  0.253
Sr  0.195  0.942  0.885
Co  0.244  0.245  0.991
Co  0.752  0.251  0.501
O  0.825  0.799  0.636
Sr  0.694  0.943  0.386
O  0.634  0.634  0.496
O  0.332  0.816  0.142
Sr  0.193  0.440  0.884
Co  0.745  0.746  0.990
O  0.110  0.613  0.989
Sr  0.446  0.699  0.390
Co  0.246  0.748  0.990
O  0.623  0.387  0.505
Co  0.108  0.587  0.251
Cu  0.862  0.888  0.253
O  0.936  0.913  0.858
Sr  0.308  0.061  0.614
Sr  0.942  0.694  0.883
Sr  0.560  0.305  0.614
Sr  0.946  0.196  0.390
Cu  0.364  0.401  0.749
Sr  0.310  0.559  0.614
O  0.936  0.412  0.861
Sr  0.806  0.062  0.613
Co  0.004  0.004  0.503
Sr  0.692  0.438  0.884
O  0.326  0.320  0.140
O  0.873  0.370  0.506
O  0.819  0.801  0.141
Cu  0.371  0.903  0.256
O  0.935  0.567  0.253
Sr  0.057  0.805  0.614
Cu  0.357  0.408  0.253
O  0.365  0.630  0.992
Co  0.256  0.755  0.510
O  0.697  0.441  0.749
Co  0.748  0.246  0.991
Sr  0.559  0.804  0.113
Sr  0.057  0.301  0.108
O  0.076  0.085  0.638
Sr  0.554  0.303  0.112
O  0.085  0.107  0.156
O  0.132  0.367  0.997
O  0.699  0.944  0.750
O  0.370  0.872  0.507
O  0.694  0.199  0.365
Cu  0.115  0.599  0.748
Cu  0.862  0.900  0.747
O  0.436  0.418  0.365
Co  0.756  0.755  0.508
Sr  0.445  0.202  0.391
O  0.622  0.886  0.507
Co  0.863  0.407  0.250
Ba  0.809  0.058  0.119
O  0.950  0.052  0.748
O  0.696  0.704  0.357
O  0.367  0.133  0.993
Cu  0.363  0.900  0.749
O  0.439  0.412  0.861
Sr  0.558  0.806  0.614
O  0.450  0.552  0.749
Sr  0.056  0.303  0.614
Co  0.007  0.504  0.508
Sr  0.691  0.939  0.885
O  0.629  0.863  0.999
Co  0.502  0.003  0.502
O  0.833  0.312  0.143
O  0.951  0.551  0.749
Sr  0.806  0.559  0.112
O  0.880  0.114  0.498
Sr  0.198  0.442  0.391
O  0.939  0.402  0.354
O  0.124  0.384  0.507
O  0.074  0.583  0.145
O  0.439  0.915  0.367
O  0.133  0.632  0.496
O  0.613  0.613  0.992
Sr  0.444  0.193  0.884
Sr  0.944  0.193  0.883
O  0.325  0.800  0.637
O  0.614  0.115  0.993
O  0.636  0.368  0.003
O  0.572  0.088  0.141
Cu  0.862  0.400  0.749
O  0.196  0.939  0.749
O  0.576  0.586  0.638
O  0.465  0.052  0.263
Sr  0.807  0.558  0.614
Sr  0.945  0.702  0.391
O  0.205  0.954  0.259
Co  0.991  0.992  0.982
O  0.877  0.878  0.997
O  0.129  0.868  0.997
O  0.116  0.119  0.990
O  0.121  0.884  0.506
O  0.191  0.697  0.353
O  0.384  0.619  0.498
O  0.690  0.433  0.250
O  0.966  0.046  0.261
O  0.632  0.134  0.497
Sr  0.442  0.697  0.884
Ba  0.309  0.063  0.119
O  0.380  0.118  0.497
Cu  0.615  0.098  0.749
O  0.189  0.699  0.861
Sr  0.692  0.440  0.387
Co  0.622  0.595  0.253
Co  0.496  0.494  0.987
O  0.451  0.050  0.748
Co  0.501  0.501  0.503
O  0.871  0.872  0.508
Co  0.257  0.256  0.511
Co  0.118  0.095  0.257
O  0.196  0.208  0.357
O  0.575  0.087  0.637
Sr  0.196  0.939  0.392
O  0.179  0.428  0.251
O  0.938  0.914  0.366
O  0.702  0.947  0.250
Ba  0.311  0.561  0.117
Ba  0.055  0.805  0.115
O  0.437  0.916  0.861
O  0.075  0.585  0.635
O  0.866  0.127  0.991
O  0.189  0.197  0.860
O  0.885  0.384  0.001
O  0.860  0.625  0.991
O  0.378  0.377  0.509
Co  0.497  0.998  0.993
Co  0.993  0.493  0.986
O  0.199  0.445  0.748
Cu  0.613  0.599  0.749
O  0.463  0.549  0.260
O  0.324  0.302  0.638

# 3
Here is a geometry-optimized BaCaEuWO6 structure from Materials Project. Energies are from PBE+U.

Its crystal system is orthorhombic.

Cell: 8.555 8.511 8.530 Å, 90.00 90.00 90.00°
Atoms (fractional coordinates):
Ca  0.500  0.000  0.000
Ba  0.500  0.500  0.500
O  0.526  0.293  0.781
W  0.250  0.250  0.250
O  0.526  0.707  0.219
Ca  0.000  0.500  0.000
Eu  0.250  0.250  0.750
O  0.292  0.030  0.193
O  0.026  0.793  0.719
O  0.203  0.700  0.971
O  0.297  0.800  0.529
O  0.474  0.707  0.781
O  0.703  0.200  0.529
O  0.792  0.470  0.693
Ba  0.000  0.000  0.500
O  0.797  0.700  0.029
O  0.292  0.970  0.807
Ca  0.500  0.000  0.500
O  0.792  0.530  0.307
O  0.797  0.300  0.971
O  0.208  0.470  0.307
Ba  0.500  0.500  0.000
O  0.297  0.200  0.471
Eu  0.750  0.250  0.250
O  0.203  0.300  0.029
O  0.708  0.970  0.193
O  0.474  0.293  0.219
Eu  0.250  0.750  0.250
O  0.974  0.793  0.281
O  0.703  0.800  0.471
Eu  0.750  0.750  0.750
W  0.250  0.750  0.750
W  0.750  0.750  0.250
O  0.026  0.207  0.281
W  0.750  0.250  0.750
O  0.708  0.030  0.807
Ba  0.000  0.000  0.000
Ca  0.000  0.500  0.500
O  0.974  0.207  0.719
O  0.208  0.530  0.693

# 4
Here is a geometry-optimized Li7Mn5O12 structure from Materials Project. Energies are from PBE+U.

Its crystal system is monoclinic.

Cell: 2.871 5.347 14.603 Å, 87.45 90.00 90.00°
Atoms (fractional coordinates):
Li  0.000  0.333  0.833
O  0.500  0.854  0.078
O  0.000  0.622  0.407
O  0.500  0.813  0.588
O  0.000  0.045  0.259
Mn  0.500  0.163  0.666
Li  0.500  0.489  0.491
O  0.500  0.522  0.744
O  0.000  0.356  0.075
Mn  0.000  0.333  0.333
Mn  0.000  0.003  0.003
O  0.000  0.019  0.744
O  0.000  0.311  0.591
Li  0.500  0.833  0.333
Li  0.500  0.178  0.176
O  0.500  0.182  0.409
Li  0.000  0.676  0.178
Li  0.000  0.990  0.489
Li  0.500  0.833  0.833
O  0.000  0.647  0.922
O  0.500  0.144  0.923
O  0.500  0.484  0.258
Mn  0.000  0.664  0.664
Mn  0.500  0.503  0.001

So what do the calculations give for energy of formation? Going down the list: -0.939, -2.018, -2.937, -2.092 eV/atom.
So what do the calculations give for energy with MP2020 corrections? Going down the list: -6.751, -6.478, -8.620, -7.031 eV/atom.
So what do the calculations give for uncorrected energy? Going down the list: -113.68, -845.09, -310.55, -152.17 eV for the cell shown.